{
  "formula": "NaSc4PS5O24",
  "functional": "GGA-PBE",
  "state": "relaxed",
  "lattice": [[8.854, 0.000, 0.000], [4.419, 7.674, 0.000], [0.014, 0.023, 22.974]],
  "species": ["Na", "Na", "Na", "Sc", "Sc", "Sc", "Sc", "Sc", "Sc", "Sc", "Sc", "Sc", "Sc", "Sc", "Sc", "P", "P", "P", "S", "S", "S", "S", "S", "S", "S", "S", "S", "S", "S", "S", "S", "S", "S", "O", "O", "O", "O", "O", "O", "O", "O", "O", "O", "O", "O", "O", "O", "O", "O", "O", "O", "O", "O", "O", "O", "O", "O", "O", "O", "O", "O", "O", "O", "O", "O", "O", "O", "O", "O", "O", "O", "O", "O", "O", "O", "O", "O", "O", "O", "O", "O", "O", "O", "O", "O", "O", "O", "O", "O", "O", "O", "O", "O", "O", "O", "O", "O", "O", "O", "O", "O", "O", "O", "O", "O"],
  "fractional_positions": [[0.000, 0.000, 0.000], [0.000, 0.006, 0.504], [0.664, 0.670, 0.667], [0.000, 0.002, 0.150], [0.000, 0.003, 0.354], [0.000, 0.010, 0.646], [0.001, 0.995, 0.854], [0.327, 0.342, 0.977], [0.334, 0.336, 0.190], [0.341, 0.327, 0.484], [0.342, 0.329, 0.687], [0.660, 0.670, 0.524], [0.668, 0.669, 0.315], [0.674, 0.671, 0.021], [0.676, 0.667, 0.817], [0.334, 0.046, 0.585], [0.624, 0.335, 0.585], [0.957, 0.670, 0.918], [0.001, 0.712, 0.252], [0.002, 0.293, 0.752], [0.044, 0.336, 0.085], [0.044, 0.626, 0.585], [0.291, 0.002, 0.252], [0.292, 0.710, 0.751], [0.335, 0.626, 0.085], [0.376, 0.668, 0.418], [0.377, 0.959, 0.918], [0.623, 0.047, 0.085], [0.667, 0.959, 0.418], [0.668, 0.379, 0.918], [0.710, 0.003, 0.751], [0.710, 0.293, 0.252], [0.958, 0.379, 0.418], [0.024, 0.801, 0.592], [0.025, 0.178, 0.093], [0.027, 0.185, 0.804], [0.030, 0.793, 0.303], [0.121, 0.519, 0.637], [0.125, 0.363, 0.137], [0.131, 0.361, 0.425], [0.136, 0.509, 0.928], [0.151, 0.548, 0.532], [0.154, 0.304, 0.033], [0.154, 0.313, 0.744], [0.156, 0.539, 0.242], [0.172, 0.024, 0.592], [0.176, 0.802, 0.093], [0.180, 0.032, 0.303], [0.183, 0.794, 0.804], [0.201, 0.827, 0.410], [0.201, 0.979, 0.911], [0.210, 0.973, 0.199], [0.211, 0.823, 0.699], [0.302, 0.159, 0.530], [0.303, 0.547, 0.033], [0.308, 0.539, 0.744], [0.309, 0.158, 0.242], [0.356, 0.515, 0.426], [0.360, 0.132, 0.927], [0.360, 0.518, 0.137], [0.363, 0.129, 0.639], [0.455, 0.701, 0.470], [0.455, 0.849, 0.971], [0.464, 0.847, 0.260], [0.467, 0.694, 0.759], [0.484, 0.879, 0.866], [0.485, 0.643, 0.365], [0.489, 0.645, 0.077], [0.497, 0.864, 0.577], [0.510, 0.367, 0.639], [0.513, 0.132, 0.425], [0.514, 0.359, 0.927], [0.516, 0.127, 0.137], [0.537, 0.157, 0.744], [0.537, 0.311, 0.242], [0.541, 0.307, 0.530], [0.544, 0.156, 0.033], [0.638, 0.487, 0.866], [0.641, 0.877, 0.365], [0.642, 0.873, 0.077], [0.646, 0.497, 0.577], [0.691, 0.845, 0.759], [0.692, 0.466, 0.260], [0.697, 0.459, 0.971], [0.699, 0.849, 0.470], [0.791, 0.029, 0.804], [0.791, 0.182, 0.303], [0.800, 0.027, 0.093], [0.806, 0.172, 0.592], [0.821, 0.212, 0.199], [0.821, 0.971, 0.699], [0.825, 0.204, 0.911], [0.825, 0.978, 0.410], [0.841, 0.700, 0.973], [0.842, 0.468, 0.758], [0.845, 0.694, 0.260], [0.847, 0.458, 0.470], [0.868, 0.645, 0.578], [0.870, 0.489, 0.077], [0.872, 0.641, 0.865], [0.875, 0.487, 0.365], [0.969, 0.214, 0.700], [0.971, 0.823, 0.199], [0.976, 0.203, 0.410], [0.977, 0.834, 0.911]],
  "energy_ev_per_atom": -7.102,
  "volume_a3_per_atom": 14.9,
  "energy_corrected_mp2020_ev_per_atom": -7.573,
  "ef_ev_per_atom": -2.673
}